This record from the Materials Project database describes a geometry-optimized InSn2Te3 structure. The functional is PBE.

Cell: 4.4687 4.4687 11.1402 Å, 90.00 90.00 120.00°
Space group P-3m1 (No. 164)
One atom of each set of equivalent atoms:
In: 0.0000 0.0000 0.0000 (multiplicity 1)
Sn: 0.3333 0.6667 0.6683 (multiplicity 2)
Te: 0.0000 0.0000 0.5000 (multiplicity 1)
Te: 0.3333 0.6667 0.1671 (multiplicity 2)

The formation energy is -0.493 eV per atom. As for the calculated density: 6.3 g/cm3. The value obtained for the total energy is -21.894 eV for the cell shown.